one) Li2VF7 | GGA+U | relaxed

Cell: 5.9138 5.9138 5.9138 Å, 120.29 115.41 93.82°
Atoms (fractional coordinates):
Li (0.6066, 0.3649, 0.2416)
Li (0.1233, 0.3649, 0.7584)
V (0.4928, 0.9928, 0.5000)
F (0.7054, 0.7830, 0.4845)
F (0.2985, 0.7830, 0.0776)
F (0.7317, 0.2317, 0.5000)
F (0.2584, 0.2584, 0.0000)
F (0.7054, 0.2209, 0.9224)
F (0.2985, 0.2209, 0.5155)
F (0.2767, 0.7767, 0.5000)

two) Li2VF7 | GGA+U | relaxed

Cell: 6.9735 7.0480 10.1983 Å, 90.00 90.00 90.00°
Atoms (fractional coordinates):
Li (0.1308, 0.2500, 0.7489)
Li (0.1691, 0.7500, 0.0008)
Li (0.3309, 0.2500, 0.5008)
Li (0.3692, 0.7500, 0.2489)
Li (0.6308, 0.2500, 0.7511)
Li (0.6691, 0.7500, 0.4992)
Li (0.8309, 0.2500, 0.9992)
Li (0.8692, 0.7500, 0.2511)
V (0.1948, 0.7500, 0.5586)
V (0.3052, 0.2500, 0.0586)
V (0.6948, 0.7500, 0.9414)
V (0.8052, 0.2500, 0.4414)
F (0.0463, 0.2500, 0.5140)
F (0.0570, 0.2500, 0.1138)
F (0.1169, 0.7500, 0.1774)
F (0.1289, 0.5699, 0.6733)
F (0.1289, 0.9301, 0.6733)
F (0.2361, 0.0676, 0.9394)
F (0.2361, 0.4324, 0.9394)
F (0.2639, 0.5676, 0.4394)
F (0.2639, 0.9324, 0.4394)
F (0.3711, 0.0699, 0.1733)
F (0.3711, 0.4301, 0.1733)
F (0.3831, 0.2500, 0.6774)
F (0.4430, 0.7500, 0.6138)
F (0.4537, 0.7500, 0.0140)
F (0.5463, 0.2500, 0.9860)
F (0.5570, 0.2500, 0.3862)
F (0.6169, 0.7500, 0.3226)
F (0.6289, 0.9301, 0.8267)
F (0.6289, 0.5699, 0.8267)
F (0.7361, 0.0676, 0.5606)
F (0.7361, 0.4324, 0.5606)
F (0.7639, 0.9324, 0.0606)
F (0.7639, 0.5676, 0.0606)
F (0.8711, 0.0699, 0.3267)
F (0.8711, 0.4301, 0.3267)
F (0.8831, 0.2500, 0.8226)
F (0.9430, 0.7500, 0.8862)
F (0.9537, 0.7500, 0.4860)

It is two) that is the most stable of them.

one) MgMn6O11F | GGA+U | relaxed

Cell: 11.9793 6.4277 2.9397 Å, 90.00 89.99 109.54°
Atoms (fractional coordinates):
Mg (0.4992, 0.0023, 0.9880)
Mn (0.0119, 0.0070, 0.9872)
Mn (0.2951, 0.1919, 0.4881)
Mn (0.0012, 0.5006, 0.4876)
Mn (0.7081, 0.3211, 0.9886)
Mn (0.2914, 0.6782, 0.9880)
Mn (0.6968, 0.8021, 0.4883)
O (0.1172, 0.0696, 0.4879)
O (0.9992, 0.3023, 0.9875)
O (0.3078, 0.3908, 0.9881)
O (0.9953, 0.6944, 0.9875)
O (0.6699, 0.9814, 0.9884)
O (0.5858, 0.2342, 0.4885)
O (0.1823, 0.6213, 0.4880)
O (0.4138, 0.7682, 0.4879)
O (0.8164, 0.3735, 0.4885)
O (0.6947, 0.6098, 0.9884)
O (0.3265, 0.0164, 0.9880)
F (0.8873, 0.9350, 0.4863)

two) MgMn6O11F | GGA+U | relaxed

Cell: 4.9927 5.0546 8.6493 Å, 89.37 90.54 101.57°
Atoms (fractional coordinates):
Mg (0.5234, 0.0345, 0.1594)
Mn (0.0089, 0.9815, 0.9951)
Mn (0.0040, 0.9941, 0.3353)
Mn (0.0071, 0.9902, 0.6561)
Mn (0.4437, 0.5431, 0.8246)
Mn (0.4191, 0.5217, 0.1650)
Mn (0.5591, 0.4649, 0.4980)
O (0.1491, 0.7983, 0.1613)
O (0.1199, 0.8008, 0.4982)
O (0.1319, 0.7935, 0.8307)
O (0.3477, 0.2626, 0.9978)
O (0.3654, 0.2463, 0.3256)
O (0.3479, 0.2730, 0.6662)
O (0.6263, 0.7552, 0.0031)
O (0.6407, 0.7389, 0.3223)
O (0.6583, 0.7297, 0.6579)
O (0.9041, 0.1944, 0.1599)
O (0.8704, 0.1893, 0.4920)
F (0.8729, 0.1879, 0.8302)

three) MgMn6O11F | GGA+U | relaxed

Cell: 10.4559 7.7808 2.9461 Å, 90.00 90.00 113.64°
Atoms (fractional coordinates):
Mg (0.8412, 0.1734, 0.5000)
Mn (0.0041, 0.9517, 0.0000)
Mn (0.3311, 0.1438, 0.5000)
Mn (0.0015, 0.5324, 0.5000)
Mn (0.6534, 0.3656, 0.0000)
Mn (0.3288, 0.7217, 0.0000)
Mn (0.6512, 0.7768, 0.5000)
O (0.1285, 0.0524, 0.5000)
O (0.9758, 0.3427, 0.0000)
O (0.3361, 0.2980, 0.0000)
O (0.0019, 0.6883, 0.0000)
O (0.5332, 0.2441, 0.5000)
O (0.2005, 0.6119, 0.5000)
O (0.4600, 0.7565, 0.5000)
O (0.7877, 0.4036, 0.5000)
O (0.6469, 0.6237, 0.0000)
O (0.3238, 0.9727, 0.0000)
O (0.8685, 0.9278, 0.5000)
F (0.7009, 0.0379, 0.0000)

It is one) that is the most stable of them.

one) MgMn6O11F | GGA+U | relaxed

Cell: 4.9650 7.5235 5.5620 Å, 96.53 94.89 86.64°
Atoms (fractional coordinates):
Mg (0.0116, 0.4931, 0.0007)
Mn (0.4988, 0.0048, 0.5058)
Mn (0.5258, 0.6914, 0.1454)
Mn (0.5073, 0.3321, 0.8407)
Mn (0.0042, 0.6937, 0.6469)
Mn (0.9783, 0.3092, 0.3788)
Mn (0.9992, 0.0056, 0.0058)
O (0.8481, 0.4483, 0.6542)
O (0.8525, 0.7618, 0.9535)
O (0.8135, 0.0936, 0.3087)
O (0.6794, 0.0960, 0.8170)
O (0.6877, 0.7733, 0.4641)
O (0.6847, 0.4419, 0.1496)
O (0.3221, 0.5755, 0.8561)
O (0.3130, 0.2381, 0.5440)
O (0.3068, 0.9076, 0.2040)
O (0.1405, 0.2410, 0.0698)
O (0.1744, 0.9118, 0.7098)
F (0.1662, 0.5705, 0.3451)

two) MgMn6O11F | GGA+U | relaxed

Cell: 4.9845 5.1065 8.6298 Å, 90.01 89.98 100.88°
Atoms (fractional coordinates):
Mg (0.4846, 0.9619, 0.3291)
Mn (0.0077, 0.9987, 0.0004)
Mn (0.9976, 0.0143, 0.3294)
Mn (0.0074, 0.9986, 0.6583)
Mn (0.4407, 0.5618, 0.8294)
Mn (0.5502, 0.4598, 0.1518)
Mn (0.5496, 0.4599, 0.5068)
O (0.1785, 0.8615, 0.1675)
O (0.1785, 0.8615, 0.4910)
O (0.1897, 0.8599, 0.8294)
O (0.2760, 0.3355, 0.9984)
O (0.3247, 0.2979, 0.3293)
O (0.2755, 0.3358, 0.6602)
O (0.7127, 0.6844, 0.9900)
O (0.7063, 0.6840, 0.3293)
O (0.7128, 0.6840, 0.6688)
O (0.7938, 0.1477, 0.1692)
O (0.7935, 0.1473, 0.4895)
F (0.8202, 0.1454, 0.8294)

three) MgMn6O11F | GGA+U | relaxed

Cell: 11.8520 6.3894 2.9582 Å, 89.83 88.83 108.13°
Atoms (fractional coordinates):
Mg (0.8294, 0.6590, 0.9548)
Mn (0.0592, 0.0046, 0.0113)
Mn (0.3388, 0.1684, 0.5081)
Mn (0.0445, 0.4888, 0.4796)
Mn (0.6241, 0.3416, 0.9775)
Mn (0.3323, 0.6651, 0.9976)
Mn (0.6158, 0.8463, 0.4767)
O (0.1648, 0.0487, 0.5176)
O (0.0267, 0.2841, 0.9825)
O (0.3288, 0.3562, 0.0047)
O (0.0050, 0.6641, 0.9773)
O (0.6357, 0.0493, 0.9748)
O (0.5172, 0.2959, 0.4867)
O (0.2217, 0.6102, 0.5027)
O (0.4421, 0.7206, 0.4888)
O (0.7473, 0.4290, 0.4672)
O (0.6555, 0.6760, 0.9735)
O (0.3488, 0.9809, 0.0037)
F (0.8936, 0.8882, 0.4439)

four) MgMn6O11F | GGA+U | relaxed

Cell: 4.9962 5.1098 8.6825 Å, 90.78 89.16 101.11°
Atoms (fractional coordinates):
Mg (0.5164, 0.0403, 0.6655)
Mn (0.0082, 0.9918, 0.0134)
Mn (0.9983, 0.9985, 0.3356)
Mn (0.0070, 0.9804, 0.6646)
Mn (0.4422, 0.5481, 0.8508)
Mn (0.5535, 0.4458, 0.1706)
Mn (0.4556, 0.5371, 0.4952)
O (0.1738, 0.8579, 0.1700)
O (0.2081, 0.8475, 0.5113)
O (0.2067, 0.8563, 0.8282)
O (0.2862, 0.3176, 0.0111)
O (0.2942, 0.3134, 0.3339)
O (0.2939, 0.3158, 0.6724)
O (0.7216, 0.6665, 0.0011)
O (0.7240, 0.6647, 0.3403)
O (0.6749, 0.7067, 0.6733)
O (0.8159, 0.1401, 0.1735)
O (0.8264, 0.1368, 0.5141)
F (0.8067, 0.1488, 0.8322)

It is three) that is the most stable of them.

one) MgMn6O11F | GGA+U | relaxed

Cell: 11.9861 6.6426 2.9215 Å, 90.00 89.99 110.35°
Atoms (fractional coordinates):
Mg (0.4927, 0.0145, 0.0111)
Mn (0.0012, 0.0044, 0.0109)
Mn (0.2868, 0.2100, 0.5102)
Mn (0.0021, 0.5033, 0.5108)
Mn (0.7199, 0.3076, 0.0113)
Mn (0.2846, 0.6920, 0.0102)
Mn (0.7189, 0.7762, 0.5123)
O (0.1107, 0.0630, 0.5108)
O (0.0166, 0.3216, 0.0108)
O (0.2969, 0.4067, 0.0102)
O (0.9860, 0.6852, 0.0107)
O (0.5978, 0.2083, 0.5114)
O (0.1764, 0.6538, 0.5104)
O (0.4056, 0.7845, 0.5104)
O (0.8280, 0.3472, 0.5112)
O (0.7048, 0.5902, 0.0122)
O (0.3284, 0.0500, 0.0103)
O (0.8884, 0.9472, 0.5110)
F (0.6604, 0.9343, 0.0121)

two) MgMn6O11F | GGA+U | relaxed

Cell: 8.1512 5.6832 5.8788 Å, 67.53 62.95 64.66°
Atoms (fractional coordinates):
Mg (0.4941, 0.9981, 0.5257)
Mn (0.8692, 0.6791, 0.6822)
Mn (0.3162, 0.6344, 0.6689)
Mn (0.6727, 0.3691, 0.3296)
Mn (0.1193, 0.3179, 0.3222)
Mn (0.5218, 0.0265, 0.0138)
Mn (0.9783, 0.0032, 0.0101)
O (0.6716, 0.0401, 0.6443)
O (0.3209, 0.3592, 0.9757)
O (0.5884, 0.5912, 0.5567)
O (0.9468, 0.2359, 0.2100)
O (0.7004, 0.1112, 0.1469)
O (0.3956, 0.4137, 0.4543)
O (0.0411, 0.7685, 0.7892)
O (0.9918, 0.3017, 0.6962)
O (0.3276, 0.9757, 0.3687)
O (0.6684, 0.6545, 0.0288)
O (0.0005, 0.6979, 0.3088)
F (0.2827, 0.8971, 0.8680)

It is two) that is the most stable of them.

one) MgMn6O7F5 | GGA+U | relaxed

Cell: 5.1159 7.6061 5.8477 Å, 94.61 83.68 93.05°
Atoms (fractional coordinates):
Mg (0.0273, 0.1704, 0.6507)
Mn (0.5294, 0.9879, 0.5433)
Mn (0.5203, 0.6780, 0.1861)
Mn (0.5111, 0.3626, 0.8085)
Mn (0.9743, 0.6807, 0.6692)
Mn (0.8776, 0.3586, 0.2840)
Mn (0.0194, 0.9743, 0.0608)
O (0.8477, 0.4244, 0.6367)
O (0.8089, 0.7667, 0.9974)
O (0.8585, 0.0884, 0.3534)
O (0.6838, 0.7578, 0.4997)
O (0.6182, 0.4469, 0.0988)
O (0.3974, 0.2254, 0.5493)
O (0.1639, 0.9217, 0.7208)
F (0.7038, 0.1076, 0.8512)
F (0.2735, 0.5827, 0.8241)
F (0.3511, 0.9100, 0.2164)
F (0.1752, 0.5852, 0.3319)
F (0.1587, 0.2376, 0.9915)

two) MgMn6O7F5 | GGA+U | relaxed

Cell: 5.4701 7.5797 5.7855 Å, 96.62 83.30 91.52°
Atoms (fractional coordinates):
Mg (0.0035, 0.5036, 0.0064)
Mn (0.5080, 0.9898, 0.4833)
Mn (0.5022, 0.6663, 0.1330)
Mn (0.5109, 0.3390, 0.8354)
Mn (0.9175, 0.7105, 0.5878)
Mn (0.0467, 0.1681, 0.5368)
Mn (0.9964, 0.9858, 0.0047)
O (0.8510, 0.7545, 0.9488)
O (0.8250, 0.0610, 0.3202)
O (0.6061, 0.7511, 0.4359)
O (0.6530, 0.4396, 0.1043)
O (0.3504, 0.5583, 0.8648)
O (0.3842, 0.2339, 0.5491)
O (0.1466, 0.9470, 0.6510)
F (0.9039, 0.4153, 0.6591)
F (0.6995, 0.1102, 0.8089)
F (0.3345, 0.9084, 0.1485)
F (0.1277, 0.5921, 0.3030)
F (0.1328, 0.2405, 0.0118)

three) MgMn6O7F5 | GGA+U | relaxed

Cell: 8.5087 5.8382 6.1170 Å, 65.20 62.08 64.92°
Atoms (fractional coordinates):
Mg (0.4991, 0.9977, 0.5032)
Mn (0.8558, 0.6683, 0.6682)
Mn (0.6788, 0.3659, 0.3364)
Mn (0.3109, 0.6198, 0.6589)
Mn (0.1515, 0.3261, 0.3264)
Mn (0.5073, 0.9950, 0.9988)
Mn (0.9983, 0.9993, 0.0007)
O (0.6680, 0.0302, 0.6328)
O (0.3239, 0.3375, 0.9639)
O (0.4201, 0.4026, 0.4399)
O (0.3407, 0.9577, 0.3631)
O (0.6790, 0.6464, 0.0266)
O (0.0064, 0.3071, 0.6883)
O (0.0105, 0.6908, 0.3084)
F (0.3024, 0.8770, 0.8413)
F (0.6227, 0.6088, 0.5575)
F (0.9515, 0.2442, 0.2260)
F (0.6937, 0.0823, 0.1438)
F (0.0296, 0.7718, 0.7799)

four) MgMn6O7F5 | GGA+U | relaxed

Cell: 5.1825 7.8459 5.9580 Å, 100.42 98.11 84.77°
Atoms (fractional coordinates):
Mg (0.0460, 0.3440, 0.8447)
Mn (0.4282, 0.9666, 0.5750)
Mn (0.5251, 0.6545, 0.1556)
Mn (0.5324, 0.3764, 0.7595)
Mn (0.9819, 0.6693, 0.6456)
Mn (0.9975, 0.3197, 0.3323)
Mn (0.9932, 0.9881, 0.0112)
O (0.8151, 0.4458, 0.5942)
O (0.8383, 0.1150, 0.2609)
O (0.6906, 0.7613, 0.4488)
O (0.7549, 0.4502, 0.0602)
O (0.2742, 0.5501, 0.8800)
O (0.2760, 0.2275, 0.5925)
O (0.1539, 0.8801, 0.7437)
F (0.7424, 0.7985, 0.9422)
F (0.7653, 0.1457, 0.7752)
F (0.2711, 0.8598, 0.2207)
F (0.2072, 0.5263, 0.3758)
F (0.2204, 0.2046, 0.0676)

It is three) that is the most stable of them.